(1)
{
  "formula": "LuS2",
  "functional": "r2SCAN",
  "state": "optimized geometry",
  "lattice": [[3.784, 0.000, 0.000], [0.000, 3.784, 0.000], [0.000, 0.000, 7.766]],
  "species": ["S", "S", "S", "S", "Lu", "Lu"],
  "fractional_positions": [[0.250, 0.250, 0.631], [0.750, 0.250, 0.000], [0.750, 0.750, 0.369], [0.250, 0.750, 0.000], [0.750, 0.750, 0.727], [0.250, 0.250, 0.273]],
  "sg": "No. 129",
  "dft_energy_ev_per_atom": -19.877,
  "ef_ev_per_atom": -1.828
}



(2)
{
  "formula": "Sn15Ru3O14",
  "functional": "r2SCAN",
  "state": "optimized geometry",
  "lattice": [[0.000, -7.121, 0.000], [-6.232, -3.561, -0.001], [-2.091, -3.561, -12.329]],
  "species": ["O", "O", "O", "O", "O", "O", "O", "O", "O", "O", "O", "O", "O", "O", "Sn", "Sn", "Sn", "Sn", "Sn", "Sn", "Sn", "Sn", "Sn", "Sn", "Sn", "Sn", "Sn", "Sn", "Sn", "Ru", "Ru", "Ru"],
  "fractional_positions": [[0.237, 0.837, 0.182], [0.958, 0.074, 0.010], [0.624, 0.695, 0.057], [0.818, 0.943, 0.886], [0.423, 0.566, 0.588], [0.979, 0.003, 0.593], [0.424, 0.003, 0.593], [0.343, 0.944, 0.369], [0.353, 0.943, 0.886], [0.122, 0.715, 0.466], [0.744, 0.837, 0.182], [0.225, 0.802, 0.748], [0.696, 0.715, 0.466], [0.122, 0.282, 0.475], [0.095, 0.150, 0.659], [0.681, 0.751, 0.888], [0.489, 0.082, 0.426], [0.909, 0.500, 0.161], [0.578, 0.674, 0.653], [0.902, 0.018, 0.178], [0.151, 0.778, 0.919], [0.003, 0.082, 0.426], [0.095, 0.674, 0.653], [0.673, 0.270, 0.911], [0.487, 0.606, 0.419], [0.443, 0.988, 0.125], [0.015, 0.589, 0.381], [0.146, 0.270, 0.911], [0.429, 0.500, 0.161], [0.885, 0.463, 0.768], [0.698, 0.299, 0.306], [0.289, 0.387, 0.034]],
  "sg": "No. 8",
  "dft_energy_ev_per_atom": -17.906,
  "ef_ev_per_atom": -1.309
}



(3)
{
  "formula": "PmTm",
  "functional": "r2SCAN",
  "state": "optimized geometry",
  "lattice": [[-2.827, 1.673, 1.535], [2.413, -1.747, 2.066], [3.155, 4.905, 0.464]],
  "species": ["Tm", "Pm"],
  "fractional_positions": [[0.000, 0.000, 0.000], [0.333, 0.667, 0.500]],
  "sg": "No. 187",
  "dft_energy_ev_per_atom": -32.307,
  "ef_ev_per_atom": 0.024
}



(4)
{
  "formula": "Nd2Co3",
  "functional": "r2SCAN",
  "state": "optimized geometry",
  "lattice": [[4.828, 0.000, 0.000], [-2.413, 5.105, 0.000], [0.000, 0.000, 7.861]],
  "species": ["Nd", "Nd", "Nd", "Nd", "Co", "Co", "Co", "Co", "Co", "Co"],
  "fractional_positions": [[0.842, 0.685, 0.591], [0.158, 0.315, 0.409], [0.658, 0.315, 0.091], [0.342, 0.685, 0.909], [0.000, 0.000, 0.000], [0.180, 0.860, 0.250], [0.500, 0.000, 0.500], [0.680, 0.860, 0.250], [0.820, 0.140, 0.750], [0.320, 0.140, 0.750]],
  "sg": "No. 64",
  "dft_energy_ev_per_atom": -19.726,
  "ef_ev_per_atom": -0.018
}



(5)
{
  "formula": "K2Ga2As3",
  "functional": "r2SCAN",
  "state": "optimized geometry",
  "lattice": [[-1.336, 6.626, 0.179], [-7.229, -1.773, 11.664], [12.967, 2.385, 8.525]],
  "species": ["K", "K", "K", "K", "K", "K", "K", "K", "K", "K", "K", "K", "K", "K", "K", "K", "As", "As", "As", "As", "As", "As", "As", "As", "As", "As", "As", "As", "As", "As", "As", "As", "As", "As", "As", "As", "As", "As", "As", "As", "Ga", "Ga", "Ga", "Ga", "Ga", "Ga", "Ga", "Ga", "Ga", "Ga", "Ga", "Ga", "Ga", "Ga", "Ga", "Ga"],
  "fractional_positions": [[0.448, 0.653, 0.982], [0.969, 0.856, 0.995], [0.031, 0.144, 0.005], [0.034, 0.922, 0.393], [0.469, 0.144, 0.505], [0.052, 0.653, 0.482], [0.466, 0.922, 0.893], [0.534, 0.078, 0.107], [0.552, 0.347, 0.018], [0.067, 0.442, 0.100], [0.933, 0.558, 0.900], [0.966, 0.078, 0.607], [0.567, 0.558, 0.400], [0.433, 0.442, 0.600], [0.531, 0.856, 0.495], [0.948, 0.347, 0.518], [0.163, 0.746, 0.823], [0.837, 0.254, 0.177], [0.436, 0.672, 0.620], [0.564, 0.328, 0.380], [0.050, 0.473, 0.332], [0.203, 0.244, 0.181], [0.039, 0.968, 0.179], [0.337, 0.746, 0.323], [0.703, 0.756, 0.319], [0.539, 0.032, 0.321], [0.447, 0.165, 0.897], [0.297, 0.244, 0.681], [0.450, 0.473, 0.832], [0.553, 0.835, 0.103], [0.550, 0.527, 0.168], [0.797, 0.756, 0.819], [0.936, 0.328, 0.880], [0.663, 0.254, 0.677], [0.961, 0.032, 0.821], [0.950, 0.527, 0.668], [0.064, 0.672, 0.120], [0.947, 0.835, 0.603], [0.053, 0.165, 0.397], [0.461, 0.968, 0.679], [0.753, 0.408, 0.759], [0.211, 0.091, 0.269], [0.789, 0.909, 0.731], [0.253, 0.592, 0.741], [0.739, 0.183, 0.319], [0.774, 0.686, 0.675], [0.711, 0.909, 0.231], [0.761, 0.183, 0.819], [0.274, 0.314, 0.825], [0.247, 0.592, 0.241], [0.239, 0.817, 0.181], [0.747, 0.408, 0.259], [0.226, 0.314, 0.325], [0.261, 0.817, 0.681], [0.289, 0.091, 0.769], [0.726, 0.686, 0.175]],
  "sg": "No. 14",
  "dft_energy_ev_per_atom": -11.886,
  "ef_ev_per_atom": -0.594
}



(6)
{
  "formula": "Na8TiAs4",
  "functional": "r2SCAN",
  "state": "optimized geometry",
  "lattice": [[2.345, -6.028, 7.229], [2.763, 3.567, 8.588], [-5.834, -0.836, 7.705]],
  "species": ["Na", "Na", "Na", "Na", "Na", "Na", "Na", "Na", "Na", "Na", "Na", "Na", "Na", "Na", "Na", "Na", "Ti", "Ti", "As", "As", "As", "As", "As", "As", "As", "As"],
  "fractional_positions": [[0.779, 0.221, 0.221], [0.029, 0.471, 0.029], [0.471, 0.029, 0.471], [0.221, 0.779, 0.221], [0.625, 0.625, 0.625], [0.029, 0.029, 0.471], [0.029, 0.471, 0.471], [0.779, 0.779, 0.221], [0.221, 0.221, 0.779], [0.125, 0.625, 0.625], [0.221, 0.779, 0.779], [0.471, 0.471, 0.029], [0.471, 0.029, 0.029], [0.625, 0.125, 0.625], [0.779, 0.221, 0.779], [0.625, 0.625, 0.125], [0.750, 0.750, 0.750], [0.500, 0.500, 0.500], [0.855, 0.855, 0.855], [0.855, 0.855, 0.435], [0.855, 0.435, 0.855], [0.395, 0.395, 0.395], [0.395, 0.815, 0.395], [0.435, 0.855, 0.855], [0.395, 0.395, 0.815], [0.815, 0.395, 0.395]],
  "sg": "No. 227",
  "dft_energy_ev_per_atom": -8.404,
  "ef_ev_per_atom": -0.690
}